Entry 1:
A plane-wave DFT calculation with GGA+U was carried out for crystalline Sr4Al6CrO16 at its relaxed geometry.

abc: 8.266 8.266 8.266
angles: 109.59 109.59 109.24
Fractional coordinates of all 27 atoms:
O1 0.656 0.999 0.343
O2 0.337 0.675 0.338
O3 0.959 0.102 0.857
O4 0.340 0.340 0.680
O5 0.001 0.344 0.657
O6 0.325 0.663 0.662
O7 0.898 0.041 0.143
O8 0.898 0.755 0.857
O9 0.245 0.102 0.143
O10 0.340 0.660 0.000
O11 0.660 0.340 0.000
O12 0.660 0.660 0.320
O13 0.656 0.312 0.657
O14 0.688 0.344 0.343
O15 0.337 0.999 0.662
O16 0.001 0.663 0.338
Al1 0.750 0.250 0.500
Al2 0.250 0.750 0.500
Al3 0.753 0.502 0.250
Al4 0.252 0.502 0.750
Al5 0.498 0.748 0.250
Al6 0.498 0.247 0.750
Sr1 0.994 0.006 0.500
Sr2 0.506 0.006 0.012
Sr3 0.994 0.494 0.988
Sr4 0.506 0.494 0.500
Cr1 0.000 0.000 0.000

Output
Mass density (g/cm³): 3.1
Crystal system: tetragonal
Formation enthalpy at 0 K (meV/atom): -3244


Entry 2:
A plane-wave DFT calculation with GGA+U was carried out for crystalline Sr2YAlCr2O7 at its relaxed geometry.

abc: 5.570 12.002 5.737
angles: 76.17 90.00 76.58
Fractional coordinates of all 26 atoms:
O1 0.867 0.363 0.380
O2 0.380 0.860 0.779
O3 0.431 0.500 0.085
O4 0.796 0.871 0.350
O5 0.240 0.140 0.221
O6 0.367 0.363 0.757
O7 0.740 0.140 0.139
O8 0.230 0.637 0.620
O9 0.167 0.129 0.721
O10 0.931 0.500 0.915
O11 0.880 0.860 0.861
O12 0.667 0.129 0.650
O13 0.730 0.637 0.243
O14 0.296 0.871 0.279
Al1 0.244 0.500 0.825
Al2 0.744 0.500 0.175
Sr1 0.854 0.312 0.819
Sr2 0.666 0.688 0.631
Sr3 0.354 0.312 0.369
Sr4 0.166 0.688 0.181
Y1 0.010 0.000 0.000
Y2 0.510 0.000 0.500
Cr1 0.594 0.848 0.074
Cr2 0.942 0.152 0.422
Cr3 0.094 0.848 0.578
Cr4 0.441 0.152 0.926

Output
Mass density (g/cm³): 4.7
Crystal system: orthorhombic
Formation enthalpy at 0 K (meV/atom): -2988


Entry 3:
A plane-wave DFT calculation with GGA+U was carried out for crystalline AlCrW2O8 at its relaxed geometry.

abc: 5.108 5.548 9.159
angles: 90.19 90.45 90.91
Fractional coordinates of all 24 atoms:
O1 0.407 0.384 0.135
O2 0.092 0.391 0.361
O3 0.574 0.628 0.361
O4 0.586 0.126 0.880
O5 0.427 0.372 0.639
O6 0.911 0.117 0.113
O7 0.906 0.120 0.615
O8 0.592 0.615 0.865
O9 0.931 0.624 0.139
O10 0.580 0.121 0.385
O11 0.908 0.608 0.639
O12 0.420 0.881 0.615
O13 0.091 0.882 0.888
O14 0.415 0.875 0.120
O15 0.069 0.377 0.861
O16 0.093 0.880 0.385
W1 0.256 0.163 0.999
W2 0.746 0.835 0.501
W3 0.745 0.837 0.001
W4 0.253 0.165 0.499
Al1 0.246 0.651 0.249
Al2 0.753 0.350 0.750
Cr1 0.752 0.360 0.250
Cr2 0.248 0.639 0.749

Output
Mass density (g/cm³): 7.4
Crystal system: triclinic
Formation enthalpy at 0 K (meV/atom): -2436


Entry 4:
A plane-wave DFT calculation with GGA+U was carried out for crystalline AlCrW2O8 at its relaxed geometry.

abc: 5.024 5.796 6.655
angles: 65.46 80.58 71.44
Fractional coordinates of all 12 atoms:
W1 0.245 0.488 0.924
W2 0.705 0.785 0.607
O1 0.323 0.868 0.730
O2 0.323 0.481 0.188
O3 0.148 0.560 0.590
O4 0.870 0.714 0.897
O5 0.175 0.175 0.003
O6 0.631 0.414 0.804
O7 0.716 0.158 0.521
O8 0.635 0.727 0.367
Al1 0.457 0.479 0.420
Cr1 0.972 0.133 0.773

Output
Mass density (g/cm³): 5.7
Crystal system: triclinic
Formation enthalpy at 0 K (meV/atom): -2324
Maximum piezoelectric response (C/m²): 0.5


Entry 5:
A plane-wave DFT calculation with GGA+U was carried out for crystalline AlCrW2O8 at its relaxed geometry.

abc: 5.101 5.547 9.174
angles: 89.97 90.53 89.94
Fractional coordinates of all 24 atoms:
O1 0.593 0.618 0.864
O2 0.933 0.621 0.140
O3 0.915 0.125 0.619
O4 0.095 0.382 0.364
O5 0.407 0.383 0.136
O6 0.911 0.116 0.112
O7 0.906 0.617 0.637
O8 0.089 0.884 0.888
O9 0.415 0.875 0.119
O10 0.585 0.127 0.881
O11 0.432 0.380 0.639
O12 0.084 0.873 0.381
O13 0.568 0.622 0.360
O14 0.409 0.882 0.612
O15 0.590 0.118 0.388
O16 0.067 0.378 0.860
Cr1 0.750 0.361 0.249
Cr2 0.250 0.638 0.751
W1 0.246 0.163 0.501
W2 0.747 0.837 0.001
W3 0.752 0.836 0.499
W4 0.253 0.163 0.999
Al1 0.750 0.348 0.749
Al2 0.250 0.652 0.250

Output
Mass density (g/cm³): 7.4
Crystal system: triclinic
Formation enthalpy at 0 K (meV/atom): -2436


> Which formula does entry 1 have?

Sr4Al6CrO16


Copy entry 2 word for word.
A plane-wave DFT calculation with GGA+U was carried out for crystalline Sr2YAlCr2O7 at its relaxed geometry.

abc: 5.570 12.002 5.737
angles: 76.17 90.00 76.58
Fractional coordinates of all 26 atoms:
O1 0.867 0.363 0.380
O2 0.380 0.860 0.779
O3 0.431 0.500 0.085
O4 0.796 0.871 0.350
O5 0.240 0.140 0.221
O6 0.367 0.363 0.757
O7 0.740 0.140 0.139
O8 0.230 0.637 0.620
O9 0.167 0.129 0.721
O10 0.931 0.500 0.915
O11 0.880 0.860 0.861
O12 0.667 0.129 0.650
O13 0.730 0.637 0.243
O14 0.296 0.871 0.279
Al1 0.244 0.500 0.825
Al2 0.744 0.500 0.175
Sr1 0.854 0.312 0.819
Sr2 0.666 0.688 0.631
Sr3 0.354 0.312 0.369
Sr4 0.166 0.688 0.181
Y1 0.010 0.000 0.000
Y2 0.510 0.000 0.500
Cr1 0.594 0.848 0.074
Cr2 0.942 0.152 0.422
Cr3 0.094 0.848 0.578
Cr4 0.441 0.152 0.926

Output
Mass density (g/cm³): 4.7
Crystal system: orthorhombic
Formation enthalpy at 0 K (meV/atom): -2988


> mass density of number 2 (Sr2YAlCr2O7)?

4.7 g/cm³


> Among the records above, which one has the highest formation enthalpy at 0 K?

number 4